The following is a DFT calculation (GGA-PBE) of a relaxed structure of DyH6C6Cl3O9F6.

magnetization: 0.01 Bohr magnetons per cell
energy with MP2020 corrections: -6.170 eV/atom
V: 14.3 A^3/atom

The structure in POSCAR format:
```
DyH6C6Cl3O9F6
1.0
9.472 0.000 0.000
0.000 19.488 0.000
-4.353 0.000 9.631
Dy H C Cl O F
4 24 24 12 36 24
Direct
0.203 0.074 0.032 Dy
0.203 0.426 0.532 Dy
0.797 0.574 0.468 Dy
0.797 0.926 0.968 Dy
0.046 0.215 0.983 H
0.046 0.285 0.483 H
0.180 0.216 0.926 H
0.180 0.284 0.426 H
0.316 0.184 0.269 H
0.316 0.316 0.769 H
0.403 0.114 0.329 H
0.403 0.386 0.829 H
0.443 0.560 0.373 H
0.443 0.940 0.873 H
0.490 0.512 0.638 H
0.490 0.988 0.138 H
0.510 0.012 0.862 H
0.510 0.488 0.362 H
0.557 0.060 0.127 H
0.557 0.440 0.627 H
0.597 0.614 0.171 H
0.597 0.886 0.671 H
0.684 0.684 0.231 H
0.684 0.816 0.731 H
0.820 0.716 0.574 H
0.820 0.784 0.074 H
0.954 0.715 0.517 H
0.954 0.785 0.017 H
0.137 0.542 0.749 C
0.137 0.958 0.249 C
0.139 0.585 0.411 C
0.139 0.915 0.911 C
0.175 0.651 0.346 C
0.175 0.849 0.846 C
0.218 0.560 0.907 C
0.218 0.940 0.407 C
0.342 0.171 0.836 C
0.342 0.329 0.336 C
0.438 0.164 0.747 C
0.438 0.336 0.247 C
0.562 0.664 0.753 C
0.562 0.836 0.253 C
0.658 0.671 0.664 C
0.658 0.829 0.164 C
0.782 0.060 0.593 C
0.782 0.440 0.093 C
0.825 0.151 0.154 C
0.825 0.349 0.654 C
0.861 0.085 0.089 C
0.861 0.415 0.589 C
0.863 0.042 0.751 C
0.863 0.458 0.251 C
0.050 0.656 0.168 Cl
0.050 0.844 0.668 Cl
0.242 0.650 0.928 Cl
0.242 0.850 0.428 Cl
0.316 0.138 0.577 Cl
0.316 0.362 0.077 Cl
0.684 0.638 0.923 Cl
0.684 0.862 0.423 Cl
0.758 0.150 0.572 Cl
0.758 0.350 0.072 Cl
0.950 0.156 0.332 Cl
0.950 0.344 0.832 Cl
0.000 0.064 0.812 O
0.000 0.436 0.312 O
0.000 0.564 0.688 O
0.000 0.936 0.188 O
0.019 0.589 0.432 O
0.019 0.911 0.932 O
0.139 0.192 0.989 O
0.139 0.308 0.489 O
0.215 0.507 0.701 O
0.215 0.993 0.201 O
0.232 0.535 0.434 O
0.232 0.965 0.934 O
0.281 0.229 0.833 O
0.281 0.271 0.333 O
0.323 0.135 0.248 O
0.323 0.365 0.748 O
0.334 0.117 0.900 O
0.334 0.383 0.400 O
0.474 0.037 0.144 O
0.474 0.463 0.644 O
0.526 0.537 0.356 O
0.526 0.963 0.856 O
0.666 0.617 0.600 O
0.666 0.883 0.100 O
0.677 0.635 0.252 O
0.677 0.865 0.752 O
0.719 0.729 0.667 O
0.719 0.771 0.167 O
0.768 0.035 0.066 O
0.768 0.465 0.566 O
0.785 0.007 0.799 O
0.785 0.493 0.299 O
0.861 0.692 0.511 O
0.861 0.808 0.011 O
0.981 0.089 0.068 O
0.981 0.411 0.568 O
0.131 0.537 0.974 F
0.131 0.963 0.474 F
0.156 0.707 0.414 F
0.156 0.793 0.914 F
0.325 0.652 0.360 F
0.325 0.848 0.860 F
0.360 0.530 0.969 F
0.360 0.970 0.469 F
0.445 0.617 0.696 F
0.445 0.883 0.196 F
0.493 0.725 0.758 F
0.493 0.775 0.258 F
0.507 0.225 0.742 F
0.507 0.275 0.242 F
0.555 0.117 0.804 F
0.555 0.383 0.304 F
0.640 0.030 0.531 F
0.640 0.470 0.031 F
0.675 0.152 0.140 F
0.675 0.348 0.640 F
0.844 0.207 0.086 F
0.844 0.293 0.586 F
0.869 0.037 0.526 F
0.869 0.463 0.026 F
```

---

The following is a DFT calculation (GGA-PBE) of a relaxed structure of Zr4C3N.

energy with MP2020 corrections: -9.878 eV/atom
V: 13.0 A^3/atom

The structure in POSCAR format:
```
Zr4C3N
1.0
1.663 0.960 10.850
-1.663 0.960 10.850
0.000 -1.921 10.850
Zr C N
4 3 1
Direct
0.124 0.124 0.124 Zr
0.375 0.375 0.375 Zr
0.625 0.625 0.625 Zr
0.876 0.876 0.876 Zr
0.000 0.000 0.000 C
0.248 0.248 0.248 C
0.752 0.752 0.752 C
0.500 0.500 0.500 N
```